# 1
Th2P11: optimized geometry, PBE-GGA.

abc: 17.423 10.161 19.295
angles: 90.00 117.40 90.00
Fractional positions:
1 Th 0.048 0.197 0.227
2 Th 0.048 0.303 0.727
3 Th 0.089 0.177 0.532
4 Th 0.089 0.323 0.032
5 Th 0.239 0.676 0.973
6 Th 0.239 0.824 0.473
7 Th 0.289 0.714 0.278
8 Th 0.289 0.786 0.778
9 Th 0.372 0.201 0.235
10 Th 0.372 0.299 0.735
11 Th 0.414 0.188 0.537
12 Th 0.414 0.312 0.037
13 Th 0.586 0.688 0.963
14 Th 0.586 0.812 0.463
15 Th 0.628 0.701 0.265
16 Th 0.628 0.799 0.765
17 Th 0.711 0.214 0.222
18 Th 0.711 0.286 0.722
19 Th 0.761 0.176 0.527
20 Th 0.761 0.324 0.027
21 Th 0.911 0.677 0.968
22 Th 0.911 0.823 0.468
23 Th 0.952 0.697 0.273
24 Th 0.952 0.803 0.773
25 P 0.007 0.607 0.435
26 P 0.007 0.893 0.935
27 P 0.025 0.603 0.601
28 P 0.025 0.897 0.101
29 P 0.032 0.107 0.366
30 P 0.032 0.393 0.866
31 P 0.044 0.597 0.726
32 P 0.044 0.903 0.226
33 P 0.047 0.604 0.896
34 P 0.047 0.896 0.396
35 P 0.096 0.618 0.022
36 P 0.096 0.882 0.522
37 P 0.112 0.605 0.208
38 P 0.112 0.895 0.708
39 P 0.143 0.617 0.335
40 P 0.143 0.883 0.835
41 P 0.149 0.098 0.699
42 P 0.149 0.402 0.199
43 P 0.149 0.603 0.510
44 P 0.149 0.897 0.010
45 P 0.166 0.095 0.868
46 P 0.166 0.405 0.368
47 P 0.166 0.595 0.634
48 P 0.166 0.905 0.134
49 P 0.182 0.102 0.993
50 P 0.182 0.398 0.493
51 P 0.185 0.118 0.163
52 P 0.185 0.382 0.663
53 P 0.185 0.583 0.806
54 P 0.185 0.917 0.306
55 P 0.229 0.117 0.292
56 P 0.229 0.383 0.792
57 P 0.233 0.116 0.480
58 P 0.233 0.384 0.980
59 P 0.284 0.102 0.607
60 P 0.284 0.398 0.107
61 P 0.290 0.079 0.779
62 P 0.290 0.421 0.279
63 P 0.302 0.608 0.139
64 P 0.302 0.892 0.639
65 P 0.307 0.102 0.901
66 P 0.307 0.398 0.401
67 P 0.322 0.104 0.071
68 P 0.322 0.396 0.571
69 P 0.340 0.609 0.437
70 P 0.340 0.891 0.937
71 P 0.357 0.606 0.600
72 P 0.357 0.894 0.100
73 P 0.380 0.593 0.725
74 P 0.380 0.907 0.225
75 P 0.399 0.598 0.908
76 P 0.399 0.902 0.408
77 P 0.424 0.608 0.031
78 P 0.424 0.892 0.531
79 P 0.431 0.109 0.396
80 P 0.431 0.391 0.896
81 P 0.446 0.601 0.212
82 P 0.446 0.899 0.712
83 P 0.474 0.611 0.338
84 P 0.474 0.889 0.838
85 P 0.478 0.104 0.700
86 P 0.478 0.396 0.200
87 P 0.483 0.604 0.508
88 P 0.483 0.896 0.008
89 P 0.499 0.600 0.631
90 P 0.499 0.900 0.131
91 P 0.501 0.100 0.869
92 P 0.501 0.400 0.369
93 P 0.517 0.104 0.992
94 P 0.517 0.396 0.492
95 P 0.522 0.604 0.800
96 P 0.522 0.896 0.300
97 P 0.526 0.111 0.162
98 P 0.526 0.389 0.662
99 P 0.554 0.101 0.288
100 P 0.554 0.399 0.788
101 P 0.569 0.609 0.104
102 P 0.569 0.891 0.604
103 P 0.576 0.108 0.469
104 P 0.576 0.392 0.969
105 P 0.601 0.098 0.592
106 P 0.601 0.402 0.092
107 P 0.620 0.093 0.775
108 P 0.620 0.407 0.275
109 P 0.643 0.106 0.900
110 P 0.643 0.394 0.400
111 P 0.660 0.109 0.063
112 P 0.660 0.391 0.563
113 P 0.678 0.604 0.429
114 P 0.678 0.896 0.929
115 P 0.693 0.602 0.599
116 P 0.693 0.898 0.099
117 P 0.698 0.108 0.361
118 P 0.698 0.392 0.861
119 P 0.710 0.579 0.721
120 P 0.710 0.921 0.221
121 P 0.716 0.602 0.893
122 P 0.716 0.898 0.393
123 P 0.767 0.616 0.020
124 P 0.767 0.884 0.520
125 P 0.771 0.617 0.208
126 P 0.771 0.883 0.708
127 P 0.815 0.083 0.694
128 P 0.815 0.417 0.194
129 P 0.815 0.618 0.337
130 P 0.815 0.882 0.837
131 P 0.818 0.602 0.507
132 P 0.818 0.898 0.007
133 P 0.834 0.095 0.866
134 P 0.834 0.405 0.366
135 P 0.834 0.595 0.632
136 P 0.834 0.905 0.132
137 P 0.851 0.103 0.990
138 P 0.851 0.397 0.490
139 P 0.851 0.598 0.801
140 P 0.851 0.902 0.301
141 P 0.857 0.117 0.165
142 P 0.857 0.383 0.665
143 P 0.888 0.105 0.292
144 P 0.888 0.395 0.792
145 P 0.904 0.118 0.478
146 P 0.904 0.382 0.978
147 P 0.953 0.104 0.604
148 P 0.953 0.396 0.104
149 P 0.956 0.097 0.774
150 P 0.956 0.403 0.274
151 P 0.968 0.607 0.134
152 P 0.968 0.893 0.634
153 P 0.975 0.103 0.899
154 P 0.975 0.397 0.399
155 P 0.993 0.107 0.065
156 P 0.993 0.393 0.565

Calculated values
Energy of formation in eV per atom: -0.488
Mass density in g cm⁻³: 5.29

***

# 2
HoSiNi4: optimized geometry, PBE-GGA.

abc: 5.047 8.151 3.947
angles: 90.00 90.00 90.00
Fractional positions:
1 Ho 0.000 0.000 0.000
2 Ho 0.500 0.500 0.000
3 Si 0.000 0.500 0.500
4 Si 0.500 0.000 0.500
5 Ni 0.000 0.343 0.000
6 Ni 0.000 0.657 0.000
7 Ni 0.250 0.250 0.500
8 Ni 0.250 0.750 0.500
9 Ni 0.500 0.157 0.000
10 Ni 0.500 0.843 0.000
11 Ni 0.750 0.250 0.500
12 Ni 0.750 0.750 0.500

Calculated values
Energy of formation in eV per atom: -0.619
Mass density in g cm⁻³: 8.75

***

# 3
Sr4La2MgRu2O12: optimized geometry, PBE-GGA.

abc: 19.373 19.373 19.373
angles: 168.43 168.43 16.39
Fractional positions:
1 Sr 0.118 0.118 0.000
2 Sr 0.216 0.216 0.000
3 Sr 0.784 0.784 0.000
4 Sr 0.882 0.882 0.000
5 La 0.454 0.454 0.000
6 La 0.546 0.546 0.000
7 Mg 0.000 0.000 0.000
8 Ru 0.334 0.334 0.000
9 Ru 0.666 0.666 0.000
10 O 0.000 0.500 0.500
11 O 0.057 0.057 0.000
12 O 0.167 0.667 0.500
13 O 0.279 0.279 0.000
14 O 0.333 0.833 0.500
15 O 0.389 0.389 0.000
16 O 0.500 0.000 0.500
17 O 0.611 0.611 0.000
18 O 0.667 0.167 0.500
19 O 0.721 0.721 0.000
20 O 0.833 0.333 0.500
21 O 0.943 0.943 0.000

Calculated values
Energy of formation in eV per atom: -2.817
Mass density in g cm⁻³: 5.94

***

# 4
Er6Ge11: optimized geometry, PBE-GGA.

abc: 43.684 43.684 4.039
angles: 90.12 90.12 5.39
Fractional positions:
1 Er 0.000 0.000 0.000
2 Er 0.036 0.036 0.506
3 Er 0.255 0.255 0.000
4 Er 0.292 0.292 0.517
5 Er 0.333 0.333 0.999
6 Er 0.369 0.369 0.505
7 Er 0.587 0.587 0.004
8 Er 0.625 0.625 0.540
9 Er 0.666 0.666 0.040
10 Er 0.704 0.704 0.503
11 Er 0.921 0.921 0.999
12 Er 0.959 0.959 0.517
13 Ge 0.062 0.062 0.012
14 Ge 0.091 0.091 0.503
15 Ge 0.111 0.111 0.011
16 Ge 0.138 0.138 0.065
17 Ge 0.153 0.153 0.566
18 Ge 0.180 0.180 0.510
19 Ge 0.199 0.199 0.003
20 Ge 0.229 0.229 0.505
21 Ge 0.395 0.395 0.012
22 Ge 0.428 0.428 0.499
23 Ge 0.447 0.447 0.007
24 Ge 0.476 0.476 0.127
25 Ge 0.508 0.508 0.502
26 Ge 0.528 0.528 0.007
27 Ge 0.562 0.562 0.503
28 Ge 0.729 0.729 0.006
29 Ge 0.762 0.762 0.501
30 Ge 0.781 0.781 0.010
31 Ge 0.809 0.809 0.126
32 Ge 0.842 0.842 0.501
33 Ge 0.862 0.862 0.005
34 Ge 0.895 0.895 0.498

Calculated values
Energy of formation in eV per atom: -0.572
Mass density in g cm⁻³: 8.27

***

# 5
LiCuPO4: optimized geometry, PBE-GGA.

abc: 5.018 9.714 8.534
angles: 90.00 125.98 90.00
Fractional positions:
1 Li 0.187 0.170 0.484
2 Li 0.187 0.330 0.984
3 Li 0.813 0.670 0.016
4 Li 0.813 0.830 0.516
5 Cu 0.279 0.630 0.511
6 Cu 0.279 0.870 0.011
7 Cu 0.721 0.130 0.989
8 Cu 0.721 0.370 0.489
9 P 0.452 0.095 0.253
10 P 0.452 0.405 0.753
11 P 0.548 0.595 0.247
12 P 0.548 0.905 0.747
13 O 0.139 0.122 0.248
14 O 0.139 0.378 0.748
15 O 0.252 0.674 0.074
16 O 0.252 0.826 0.574
17 O 0.370 0.137 0.053
18 O 0.370 0.363 0.553
19 O 0.462 0.062 0.721
20 O 0.462 0.438 0.221
21 O 0.538 0.562 0.779
22 O 0.538 0.938 0.279
23 O 0.630 0.637 0.447
24 O 0.630 0.863 0.947
25 O 0.748 0.174 0.426
26 O 0.748 0.326 0.926
27 O 0.861 0.622 0.252
28 O 0.861 0.878 0.752

Calculated values
Energy of formation in eV per atom: -2.189
Mass density in g cm⁻³: 3.26

***

# 6
InBi3Te4: optimized geometry, PBE-GGA.

abc: 7.700 4.468 24.284
angles: 90.00 90.54 90.00
Fractional positions:
1 In 0.000 0.000 0.000
2 In 0.001 0.000 0.243
3 In 0.501 0.500 0.000
4 Bi 0.167 0.500 0.587
5 Bi 0.167 0.500 0.832
6 Bi 0.334 0.000 0.411
7 Bi 0.334 0.000 0.657
8 Bi 0.501 0.500 0.245
9 Bi 0.666 0.000 0.587
10 Bi 0.667 0.000 0.832
11 Bi 0.834 0.500 0.412
12 Bi 0.835 0.500 0.657
13 Te 0.001 0.000 0.484
14 Te 0.159 0.500 0.327
15 Te 0.167 0.500 0.059
16 Te 0.328 0.000 0.177
17 Te 0.334 0.000 0.916
18 Te 0.499 0.500 0.759
19 Te 0.501 0.500 0.484
20 Te 0.669 0.000 0.060
21 Te 0.672 0.000 0.330
22 Te 0.834 0.500 0.916
23 Te 0.840 0.500 0.180
24 Te 0.999 0.000 0.760

Calculated values
Energy of formation in eV per atom: -0.400
Mass density in g cm⁻³: 7.47

***

# 7
Nd6Al43Mo4: optimized geometry, PBE-GGA.

abc: 11.105 11.105 17.826
angles: 90.00 90.00 120.00
Fractional positions:
1 Nd 0.000 0.470 0.095
2 Nd 0.000 0.470 0.405
3 Nd 0.000 0.530 0.595
4 Nd 0.000 0.530 0.905
5 Nd 0.470 0.000 0.095
6 Nd 0.470 0.000 0.405
7 Nd 0.470 0.470 0.595
8 Nd 0.470 0.470 0.905
9 Nd 0.530 0.000 0.595
10 Nd 0.530 0.000 0.905
11 Nd 0.530 0.530 0.095
12 Nd 0.530 0.530 0.405
13 Al 0.000 0.146 0.750
14 Al 0.000 0.157 0.116
15 Al 0.000 0.157 0.384
16 Al 0.000 0.251 0.531
17 Al 0.000 0.251 0.969
18 Al 0.000 0.749 0.031
19 Al 0.000 0.749 0.469
20 Al 0.000 0.843 0.616
21 Al 0.000 0.843 0.884
22 Al 0.000 0.854 0.250
23 Al 0.146 0.000 0.750
24 Al 0.146 0.146 0.250
25 Al 0.148 0.551 0.250
26 Al 0.148 0.597 0.750
27 Al 0.157 0.000 0.116
28 Al 0.157 0.000 0.384
29 Al 0.157 0.157 0.616
30 Al 0.157 0.157 0.884
31 Al 0.158 0.393 0.665
32 Al 0.158 0.393 0.835
33 Al 0.158 0.765 0.165
34 Al 0.158 0.765 0.335
35 Al 0.235 0.393 0.165
36 Al 0.235 0.393 0.335
37 Al 0.235 0.842 0.665
38 Al 0.235 0.842 0.835
39 Al 0.247 0.494 0.000
40 Al 0.247 0.494 0.500
41 Al 0.247 0.753 0.000
42 Al 0.247 0.753 0.500
43 Al 0.251 0.000 0.531
44 Al 0.251 0.000 0.969
45 Al 0.251 0.251 0.031
46 Al 0.251 0.251 0.469
47 Al 0.333 0.667 0.127
48 Al 0.333 0.667 0.373
49 Al 0.333 0.667 0.627
50 Al 0.333 0.667 0.873
51 Al 0.393 0.158 0.665
52 Al 0.393 0.158 0.835
53 Al 0.393 0.235 0.165
54 Al 0.393 0.235 0.335
55 Al 0.403 0.551 0.750
56 Al 0.403 0.852 0.250
57 Al 0.449 0.597 0.250
58 Al 0.449 0.852 0.750
59 Al 0.494 0.247 0.000
60 Al 0.494 0.247 0.500
61 Al 0.506 0.753 0.000
62 Al 0.506 0.753 0.500
63 Al 0.551 0.148 0.250
64 Al 0.551 0.403 0.750
65 Al 0.597 0.148 0.750
66 Al 0.597 0.449 0.250
67 Al 0.607 0.765 0.665
68 Al 0.607 0.765 0.835
69 Al 0.607 0.842 0.165
70 Al 0.607 0.842 0.335
71 Al 0.667 0.333 0.127
72 Al 0.667 0.333 0.373
73 Al 0.667 0.333 0.627
74 Al 0.667 0.333 0.873
75 Al 0.749 0.000 0.031
76 Al 0.749 0.000 0.469
77 Al 0.749 0.749 0.531
78 Al 0.749 0.749 0.969
79 Al 0.753 0.247 0.000
80 Al 0.753 0.247 0.500
81 Al 0.753 0.506 0.000
82 Al 0.753 0.506 0.500
83 Al 0.765 0.158 0.165
84 Al 0.765 0.158 0.335
85 Al 0.765 0.607 0.665
86 Al 0.765 0.607 0.835
87 Al 0.842 0.235 0.665
88 Al 0.842 0.235 0.835
89 Al 0.842 0.607 0.165
90 Al 0.842 0.607 0.335
91 Al 0.843 0.000 0.616
92 Al 0.843 0.000 0.884
93 Al 0.843 0.843 0.116
94 Al 0.843 0.843 0.384
95 Al 0.852 0.403 0.250
96 Al 0.852 0.449 0.750
97 Al 0.854 0.000 0.250
98 Al 0.854 0.854 0.750
99 Mo 0.000 0.000 0.000
100 Mo 0.000 0.000 0.500
101 Mo 0.000 0.269 0.250
102 Mo 0.000 0.731 0.750
103 Mo 0.269 0.000 0.250
104 Mo 0.269 0.269 0.750
105 Mo 0.731 0.000 0.750
106 Mo 0.731 0.731 0.250

Calculated values
Energy of formation in eV per atom: -0.314
Mass density in g cm⁻³: 4.20

***

# 8
LiTmSn: optimized geometry, PBE-GGA.

abc: 9.316 9.316 7.190
angles: 90.00 90.00 120.00
Fractional positions:
1 Li 0.167 0.333 0.000
2 Li 0.167 0.833 0.000
3 Li 0.333 0.167 0.500
4 Li 0.333 0.667 0.609
5 Li 0.667 0.333 0.109
6 Li 0.667 0.833 0.000
7 Li 0.833 0.167 0.500
8 Li 0.833 0.667 0.500
9 Tm 0.000 0.000 0.288
10 Tm 0.000 0.000 0.788
11 Tm 0.023 0.511 0.294
12 Tm 0.489 0.511 0.294
13 Tm 0.489 0.977 0.294
14 Tm 0.511 0.023 0.794
15 Tm 0.511 0.489 0.794
16 Tm 0.977 0.489 0.794
17 Sn 0.167 0.333 0.558
18 Sn 0.167 0.833 0.558
19 Sn 0.333 0.167 0.058
20 Sn 0.333 0.667 0.028
21 Sn 0.667 0.333 0.528
22 Sn 0.667 0.833 0.558
23 Sn 0.833 0.167 0.058
24 Sn 0.833 0.667 0.058

Calculated values
Energy of formation in eV per atom: -0.624
Mass density in g cm⁻³: 7.24